a.
Entry from the Materials Project: a geometry-optimized Li3Mn4B4O12 structure (PBE with a Hubbard U).

Geometry as CIF:
```
data_Li3Mn4B4O12
_cell_length_a 6.185
_cell_length_b 9.168
_cell_length_c 9.265
_cell_angle_alpha 81.19
_cell_angle_beta 82.32
_cell_angle_gamma 77.07
_space_group_name_H-M_alt 'P 1'
_space_group_IT_number 1
_space_group_name_Hall 'P 1'
loop_
_atom_site_label
_atom_site_fract_x
_atom_site_fract_y
_atom_site_fract_z
O1 0.522 0.842 0.653
Li1 0.286 0.191 0.534
B1 0.991 0.054 0.765
O2 0.308 0.602 0.927
O3 0.776 0.603 0.419
Mn1 0.012 0.606 0.235
Mn2 0.222 0.877 0.521
O4 0.766 0.573 0.862
B2 0.280 0.459 0.985
Mn3 0.490 0.381 0.259
O5 0.695 0.438 0.638
O6 0.283 0.350 0.897
Mn4 0.733 0.872 0.003
B3 0.734 0.468 0.484
O7 0.692 0.398 0.073
O8 0.224 0.397 0.581
O9 0.948 0.922 0.388
B4 0.009 0.946 0.235
O10 0.234 0.427 0.138
O11 0.561 0.061 0.116
B5 0.495 0.039 0.266
B6 0.505 0.961 0.734
O12 0.963 0.915 0.829
Li2 0.522 0.696 0.286
O13 0.052 0.078 0.612
O14 0.716 0.355 0.403
O15 0.025 0.829 0.151
O16 0.439 0.939 0.884
Li3 0.714 0.809 0.466
B7 0.266 0.532 0.516
O17 0.478 0.158 0.347
Mn5 0.510 0.619 0.741
O18 0.305 0.562 0.362
O19 0.975 0.171 0.849
Li4 0.205 0.814 0.952
Mn6 0.778 0.123 0.479
Li5 0.795 0.186 0.048
Mn7 0.988 0.394 0.765
Mn8 0.267 0.128 0.997
Li6 0.478 0.304 0.714
O20 0.284 0.645 0.597
O21 0.717 0.650 0.103
O22 0.462 0.900 0.335
O23 0.037 0.085 0.171
B8 0.720 0.541 0.015
O24 0.538 0.100 0.665
```

b.
Entry from the Materials Project: a geometry-optimized Li3Mn4B4O12 structure (PBE with a Hubbard U).

Geometry as CIF:
```
data_Li3Mn4B4O12
_cell_length_a 5.239
_cell_length_b 7.920
_cell_length_c 12.363
_cell_angle_alpha 80.26
_cell_angle_beta 87.22
_cell_angle_gamma 88.18
_space_group_name_H-M_alt 'P 1'
_space_group_IT_number 1
_space_group_name_Hall 'P 1'
loop_
_atom_site_label
_atom_site_fract_x
_atom_site_fract_y
_atom_site_fract_z
O1 0.519 0.447 0.381
B1 0.900 0.834 0.198
Mn1 0.601 0.006 0.370
Li1 0.088 0.848 0.484
O2 0.957 0.319 0.252
Mn2 0.404 0.993 0.130
Mn3 0.098 0.490 0.624
O3 0.009 0.951 0.623
B2 0.097 0.173 0.295
Li2 0.574 0.367 0.239
O4 0.492 0.533 0.113
Li3 0.089 0.846 0.982
Mn4 0.104 0.505 0.123
B3 0.403 0.327 0.456
O5 0.339 0.128 0.756
O6 0.468 0.830 0.504
B4 0.903 0.827 0.705
Mn5 0.399 0.994 0.630
O7 0.141 0.354 0.996
O8 0.145 0.345 0.492
O9 0.988 0.327 0.769
O10 0.012 0.673 0.231
O11 0.991 0.049 0.377
O12 0.531 0.182 0.995
O13 0.352 0.154 0.259
O14 0.481 0.553 0.619
O15 0.661 0.872 0.244
O16 0.016 0.954 0.118
B5 0.599 0.663 0.041
O17 0.043 0.681 0.748
Li4 0.426 0.633 0.761
Mn6 0.902 0.510 0.376
Mn7 0.896 0.495 0.877
B6 0.597 0.673 0.544
O18 0.855 0.655 0.508
O19 0.648 0.846 0.741
O20 0.859 0.646 0.004
Li5 0.911 0.154 0.018
O21 0.984 0.046 0.882
B7 0.100 0.166 0.802
Mn8 0.596 0.007 0.870
O22 0.469 0.818 0.005
O23 0.508 0.467 0.887
O24 0.532 0.170 0.496
B8 0.401 0.337 0.959
Li6 0.912 0.152 0.516
```

Stability, lowest: b

a.
Entry from the Materials Project: a geometry-optimized Li4V3O8 structure (PBE with a Hubbard U).

Geometry as CIF:
```
data_Li4V3O8
_cell_length_a 4.027
_cell_length_b 6.217
_cell_length_c 11.802
_cell_angle_alpha 79.65
_cell_angle_beta 90.00
_cell_angle_gamma 90.00
_space_group_name_H-M_alt 'P 1'
_space_group_IT_number 1
_space_group_name_Hall 'P 1'
loop_
_atom_site_label
_atom_site_fract_x
_atom_site_fract_y
_atom_site_fract_z
O1 0.750 0.730 0.819
O2 0.750 0.369 0.546
Li1 0.250 0.817 0.594
Li2 0.750 0.014 0.682
O3 0.750 0.820 0.562
O4 0.750 0.641 0.057
O5 0.750 0.193 0.822
Li3 0.250 0.451 0.303
O6 0.250 0.807 0.178
V1 0.250 0.330 0.553
Li4 0.250 0.578 0.058
O7 0.250 0.631 0.454
O8 0.250 0.483 0.690
V2 0.750 0.888 0.922
O9 0.250 0.359 0.943
O10 0.250 0.270 0.181
Li5 0.750 0.549 0.697
O11 0.250 0.944 0.934
O12 0.750 0.056 0.066
V3 0.750 0.767 0.192
Li6 0.250 0.986 0.318
Li7 0.750 0.422 0.942
V4 0.250 0.233 0.808
O13 0.750 0.926 0.317
O14 0.750 0.517 0.310
Li8 0.750 0.183 0.406
V5 0.750 0.670 0.447
O15 0.250 0.180 0.438
V6 0.250 0.112 0.078
O16 0.250 0.074 0.683
```

b.
Entry from the Materials Project: a geometry-optimized Li4V3O8 structure (PBE with a Hubbard U).

Geometry as CIF:
```
data_Li4V3O8
_cell_length_a 5.855
_cell_length_b 5.854
_cell_length_c 10.831
_cell_angle_alpha 74.03
_cell_angle_beta 105.86
_cell_angle_gamma 120.03
_space_group_name_H-M_alt 'P 1'
_space_group_IT_number 1
_space_group_name_Hall 'P 1'
loop_
_atom_site_label
_atom_site_fract_x
_atom_site_fract_y
_atom_site_fract_z
O1 0.365 0.096 0.147
O2 0.623 0.865 0.353
O3 0.882 0.119 0.646
Li1 0.821 0.177 0.463
V1 0.250 0.250 0.250
V2 0.750 0.750 0.750
V3 0.750 0.250 0.750
V4 0.250 0.750 0.250
O4 0.382 0.619 0.146
Li2 0.500 0.500 0.500
O5 0.865 0.596 0.647
O6 0.636 0.904 0.853
O7 0.134 0.403 0.353
Li3 0.000 0.000 0.000
O8 0.595 0.376 0.353
V5 0.750 0.750 0.250
Li4 0.750 0.250 0.250
Li5 0.250 0.750 0.750
O9 0.877 0.635 0.147
Li6 0.322 0.677 0.963
O10 0.118 0.881 0.354
Li7 0.679 0.323 0.037
O11 0.377 0.136 0.647
Li8 0.179 0.823 0.537
O12 0.405 0.624 0.647
O13 0.905 0.124 0.147
O14 0.123 0.365 0.853
O15 0.618 0.381 0.854
V6 0.250 0.250 0.750
O16 0.095 0.876 0.853
```

Stability, lowest: b

a.
Entry from the Materials Project: a geometry-optimized MgV4O8 structure (PBE with a Hubbard U).

Geometry as CIF:
```
data_MgV4O8
_cell_length_a 5.697
_cell_length_b 5.113
_cell_length_c 6.018
_cell_angle_alpha 95.97
_cell_angle_beta 99.30
_cell_angle_gamma 61.36
_space_group_name_H-M_alt 'P 1'
_space_group_IT_number 1
_space_group_name_Hall 'P 1'
loop_
_atom_site_label
_atom_site_fract_x
_atom_site_fract_y
_atom_site_fract_z
O1 0.747 0.316 0.720
V1 0.425 0.233 0.333
V2 0.575 0.767 0.667
O2 0.754 0.237 0.227
V3 0.000 0.000 0.000
V4 0.000 0.000 0.500
O3 0.272 0.151 0.558
O4 0.246 0.763 0.773
O5 0.247 0.181 0.091
O6 0.728 0.849 0.442
O7 0.253 0.684 0.280
Mg1 0.500 0.500 0.000
O8 0.753 0.819 0.909
```

b.
Entry from the Materials Project: a geometry-optimized MgV4O8 structure (PBE with a Hubbard U).

Geometry as CIF:
```
data_MgV4O8
_cell_length_a 3.998
_cell_length_b 6.450
_cell_length_c 6.610
_cell_angle_alpha 104.77
_cell_angle_beta 90.00
_cell_angle_gamma 108.06
_space_group_name_H-M_alt 'P 1'
_space_group_IT_number 1
_space_group_name_Hall 'P 1'
loop_
_atom_site_label
_atom_site_fract_x
_atom_site_fract_y
_atom_site_fract_z
O1 0.864 0.728 0.307
Mg1 0.174 0.349 0.018
O2 0.645 0.289 0.004
O3 0.343 0.686 0.997
O4 0.567 0.135 0.364
O5 0.448 0.895 0.628
O6 0.128 0.257 0.711
V1 0.597 0.194 0.690
O7 0.239 0.478 0.340
V2 0.717 0.433 0.331
V3 0.404 0.809 0.293
O8 0.759 0.519 0.646
V4 0.298 0.595 0.703
```

c.
Entry from the Materials Project: a geometry-optimized MgV4O8 structure (PBE with a Hubbard U).

Geometry as CIF:
```
data_MgV4O8
_cell_length_a 5.278
_cell_length_b 5.279
_cell_length_c 6.447
_cell_angle_alpha 90.00
_cell_angle_beta 90.00
_cell_angle_gamma 65.79
_space_group_name_H-M_alt 'P 1'
_space_group_IT_number 1
_space_group_name_Hall 'P 1'
loop_
_atom_site_label
_atom_site_fract_x
_atom_site_fract_y
_atom_site_fract_z
Mg1 0.657 0.661 0.250
V1 0.346 0.347 0.250
V2 0.647 0.648 0.750
O1 0.281 0.782 0.750
V3 0.002 0.003 0.506
O2 0.232 0.231 0.459
O3 0.726 0.241 0.250
O4 0.759 0.759 0.978
O5 0.781 0.281 0.750
V4 0.002 0.003 0.994
O6 0.237 0.728 0.250
O7 0.759 0.759 0.522
O8 0.232 0.231 0.041
```

Stability, lowest: a